Model a:
Computed, not measured: KTbEuNbO6 after structural relaxation at the PBE level of DFT.

a = 5.995 Å, b = 5.995 Å, c = 5.995 Å
α = 60.00°, β = 60.00°, γ = 60.00°
Atoms (fractional coordinates):
O (0.764, 0.764, 0.236)
O (0.764, 0.236, 0.764)
Tb (0.500, 0.500, 0.500)
Nb (0.000, 0.000, 0.000)
O (0.764, 0.236, 0.236)
O (0.236, 0.764, 0.236)
O (0.236, 0.236, 0.764)
O (0.236, 0.764, 0.764)
Eu (0.750, 0.750, 0.750)
K (0.250, 0.250, 0.250)

Model b:
Computed, not measured: KTbEuNbO6 after structural relaxation at the PBE level of DFT.

a = 6.004 Å, b = 6.004 Å, c = 8.427 Å
α = 90.00°, β = 90.00°, γ = 90.00°
Atoms (fractional coordinates):
Nb (0.500, 0.000, 0.500)
O (0.252, 0.722, 0.000)
O (0.722, 0.252, 0.500)
O (0.278, 0.748, 0.500)
Tb (0.500, 0.000, 0.000)
O (0.500, 0.000, 0.736)
Eu (0.500, 0.500, 0.250)
K (0.000, 0.000, 0.750)
O (0.000, 0.500, 0.236)
O (0.252, 0.278, 0.000)
O (0.500, 0.000, 0.264)
O (0.748, 0.278, 0.000)
O (0.000, 0.500, 0.764)
Eu (0.500, 0.500, 0.750)
O (0.748, 0.722, 0.000)
O (0.278, 0.252, 0.500)
Nb (0.000, 0.500, 0.000)
O (0.722, 0.748, 0.500)
Tb (0.000, 0.500, 0.500)
K (0.000, 0.000, 0.250)

Q: Which of them is the least stable? A: model a.

Model a:
Computed, not measured: KEuPSe4 after structural relaxation at the PBE level of DFT.

a = 7.001 Å, b = 6.956 Å, c = 9.257 Å
α = 72.97°, β = 90.00°, γ = 90.00°
Atoms (fractional coordinates):
Se (0.503, 0.501, 0.269)
K (0.750, 0.246, 0.063)
Se (0.250, 0.097, 0.163)
Se (0.750, 0.903, 0.837)
Se (0.497, 0.499, 0.731)
Se (0.003, 0.499, 0.731)
P (0.250, 0.295, 0.313)
Se (0.250, 0.120, 0.557)
Se (0.750, 0.880, 0.443)
Se (0.997, 0.501, 0.269)
P (0.750, 0.705, 0.687)
Eu (0.750, 0.268, 0.549)
Eu (0.250, 0.732, 0.451)
K (0.250, 0.754, 0.937)

Model b:
Computed, not measured: KEuPSe4 after structural relaxation at the PBE level of DFT.

a = 6.939 Å, b = 7.045 Å, c = 17.610 Å
α = 90.00°, β = 90.00°, γ = 90.00°
Atoms (fractional coordinates):
Se (0.093, 0.004, 0.880)
Se (0.907, 0.504, 0.120)
K (0.024, 0.250, 0.286)
K (0.476, 0.250, 0.786)
Se (0.353, 0.750, 0.028)
K (0.976, 0.750, 0.714)
P (0.279, 0.750, 0.903)
Se (0.407, 0.004, 0.380)
Se (0.647, 0.250, 0.972)
Se (0.536, 0.750, 0.828)
Eu (0.711, 0.750, 0.475)
Se (0.093, 0.496, 0.880)
Se (0.907, 0.996, 0.120)
P (0.779, 0.250, 0.597)
K (0.524, 0.750, 0.214)
Eu (0.789, 0.750, 0.975)
Se (0.036, 0.250, 0.672)
Se (0.853, 0.250, 0.472)
Eu (0.289, 0.250, 0.525)
P (0.721, 0.250, 0.097)
Se (0.464, 0.250, 0.172)
Se (0.407, 0.496, 0.380)
Se (0.147, 0.750, 0.528)
Se (0.593, 0.996, 0.620)
Se (0.593, 0.504, 0.620)
Se (0.964, 0.750, 0.328)
P (0.221, 0.750, 0.403)
Eu (0.211, 0.250, 0.025)

Q: Which of them is the least stable? A: model b.